[1]
# Li3MnCo2O6 | the Materials Project database | PBE with a Hubbard U | optimized geometry
# energy above the most stable polymorph in this dataset	0.026	eV per atom
data_Li3MnCo2O6
_chemical_formula_sum 'Li6 Mn2 Co4 O12'
_cell_length_a 3.046
_cell_length_b 9.843
_cell_length_c 7.646
_cell_angle_alpha 90.14
_cell_angle_beta 101.50
_cell_angle_gamma 98.91
_symmetry_space_group_name_H-M 'P 1'
_symmetry_Int_Tables_number 1
loop_
_symmetry_equiv_pos_as_xyz
'x,y,z'
loop_
_atom_site_label
_atom_site_type_symbol
_atom_site_fract_x
_atom_site_fract_y
_atom_site_fract_z
_atom_site_occupancy
O1 O 0.788 0.614 0.963 1
O2 O 0.877 0.384 0.370 1
O3 O 0.213 0.387 0.038 1
O4 O 0.545 0.386 0.704 1
O5 O 0.456 0.616 0.296 1
O6 O 0.713 0.887 0.538 1
O7 O 0.121 0.613 0.628 1
O8 O 0.288 0.114 0.463 1
O9 O 0.956 0.116 0.796 1
O10 O 0.621 0.113 0.129 1
O11 O 0.377 0.884 0.870 1
O12 O 0.045 0.886 0.204 1
Li1 Li 0.082 0.747 0.417 1
Li2 Li 0.582 0.247 0.917 1
Li3 Li 0.251 0.253 0.249 1
Li4 Li 0.751 0.753 0.749 1
Li5 Li 0.917 0.250 0.583 1
Li6 Li 0.417 0.750 0.083 1
Mn1 Mn 0.167 0.500 0.833 1
Mn2 Mn 0.667 0.000 0.333 1
Co1 Co 0.835 0.501 0.169 1
Co2 Co 0.498 0.499 0.498 1
Co3 Co 0.335 0.001 0.669 1
Co4 Co 0.998 0.999 0.998 1

---

[2]
VASP calculation (PBE with a Hubbard U) on a geometry-optimized LiEuMo2O8 structure.

Geometry as CIF:
```
data_LiEuMo2O8
_chemical_formula_sum 'Li2 Eu2 Mo4 O16'
_cell_length_a 5.160
_cell_length_b 6.033
_cell_length_c 11.164
_cell_angle_alpha 90.00
_cell_angle_beta 113.88
_cell_angle_gamma 90.00
_symmetry_space_group_name_H-M 'P 1'
_symmetry_Int_Tables_number 1
loop_
_symmetry_equiv_pos_as_xyz
'x,y,z'
loop_
_atom_site_label
_atom_site_type_symbol
_atom_site_fract_x
_atom_site_fract_y
_atom_site_fract_z
_atom_site_occupancy
Li1 Li 0.000 0.197 0.250 1
Li2 Li 0.000 0.803 0.750 1
Eu1 Eu 0.500 0.200 0.750 1
Eu2 Eu 0.500 0.800 0.250 1
Mo1 Mo 0.268 0.321 0.020 1
Mo2 Mo 0.268 0.679 0.520 1
Mo3 Mo 0.732 0.321 0.480 1
Mo4 Mo 0.732 0.679 0.980 1
O1 O 0.145 0.400 0.593 1
O2 O 0.145 0.600 0.093 1
O3 O 0.225 0.128 0.133 1
O4 O 0.225 0.872 0.633 1
O5 O 0.273 0.141 0.891 1
O6 O 0.273 0.859 0.391 1
O7 O 0.359 0.406 0.387 1
O8 O 0.359 0.594 0.887 1
O9 O 0.641 0.406 0.113 1
O10 O 0.641 0.594 0.613 1
O11 O 0.727 0.141 0.609 1
O12 O 0.727 0.859 0.109 1
O13 O 0.775 0.128 0.367 1
O14 O 0.775 0.872 0.867 1
O15 O 0.855 0.400 0.907 1
O16 O 0.855 0.600 0.407 1
```

---

[3]
VASP calculation (PBE with a Hubbard U) on a geometry-optimized La2FeNiO6 structure.

Geometry as CIF:
```
data_La2FeNiO6
_chemical_formula_sum 'La4 Fe2 Ni2 O12'
_cell_length_a 5.575
_cell_length_b 5.550
_cell_length_c 9.631
_cell_angle_alpha 90.00
_cell_angle_beta 125.23
_cell_angle_gamma 90.00
_symmetry_space_group_name_H-M 'P 1'
_symmetry_Int_Tables_number 1
loop_
_symmetry_equiv_pos_as_xyz
'x,y,z'
loop_
_atom_site_label
_atom_site_type_symbol
_atom_site_fract_x
_atom_site_fract_y
_atom_site_fract_z
_atom_site_occupancy
La1 La 0.244 0.029 0.250 1
La2 La 0.244 0.471 0.750 1
La3 La 0.756 0.529 0.250 1
La4 La 0.756 0.971 0.750 1
Fe1 Fe 0.000 0.000 0.500 1
Fe2 Fe 0.000 0.500 0.000 1
Ni1 Ni 0.500 0.000 0.000 1
Ni2 Ni 0.500 0.500 0.500 1
O1 O 0.176 0.224 0.958 1
O2 O 0.176 0.276 0.458 1
O3 O 0.233 0.719 0.958 1
O4 O 0.233 0.781 0.458 1
O5 O 0.324 0.013 0.747 1
O6 O 0.324 0.487 0.247 1
O7 O 0.676 0.513 0.753 1
O8 O 0.676 0.987 0.253 1
O9 O 0.767 0.219 0.542 1
O10 O 0.767 0.281 0.042 1
O11 O 0.824 0.724 0.542 1
O12 O 0.824 0.776 0.042 1
```

---

Results for calculated density: 4.34, 5.00, 6.66 (in Mg/m³, following the order of the records).
Results for total energy: -142.87, -178.90, -143.03 (in eV per cell, following the order of the records).